The following is a meta-GGA r2SCAN calculation of a relaxed structure of GaNi2BO5, from Materials Project.

abc: 2.963 9.233 12.148
angles: 90.00 90.00 90.00
Fractional positions:
Ga (0.000, 0.261, 0.616)
Ga (0.000, 0.239, 0.116)
Ga (0.000, 0.761, 0.884)
Ga (0.000, 0.739, 0.384)
O (0.000, 0.377, 0.860)
O (0.500, 0.890, 0.856)
O (0.000, 0.877, 0.640)
O (0.000, 0.153, 0.762)
O (0.000, 0.848, 0.041)
O (0.500, 0.619, 0.922)
O (0.500, 0.390, 0.644)
O (0.500, 0.110, 0.144)
O (0.500, 0.610, 0.356)
O (0.000, 0.652, 0.541)
O (0.500, 0.881, 0.422)
O (0.000, 0.623, 0.140)
O (0.000, 0.348, 0.459)
O (0.000, 0.123, 0.360)
O (0.000, 0.152, 0.959)
O (0.000, 0.347, 0.262)
O (0.000, 0.847, 0.238)
O (0.500, 0.119, 0.578)
O (0.000, 0.653, 0.738)
O (0.500, 0.381, 0.078)
Ni (0.500, 0.499, 0.218)
Ni (0.500, 0.501, 0.782)
Ni (0.500, 0.500, 0.500)
Ni (0.500, 0.999, 0.282)
Ni (0.000, 0.500, 0.000)
Ni (0.500, 0.001, 0.718)
Ni (0.000, 0.000, 0.500)
Ni (0.500, 0.000, 0.000)
B (0.000, 0.228, 0.861)
B (0.000, 0.772, 0.139)
B (0.000, 0.728, 0.639)
B (0.000, 0.272, 0.361)

Values from the calculation:
As for the crystal system: orthorhombic.

=====

The following is a meta-GGA r2SCAN calculation of a relaxed structure of ThUSb4, from Materials Project.

abc: 4.371 4.371 9.074
angles: 90.00 90.00 90.00
Fractional positions:
Sb (0.000, 0.500, 0.005)
Sb (0.500, 0.500, 0.357)
Sb (0.000, 0.000, 0.631)
Sb (0.500, 0.000, 0.005)
U (0.000, 0.000, 0.278)
Th (0.500, 0.500, 0.724)

Values from the calculation:
As for the crystal system: tetragonal.

=====

The following is a meta-GGA r2SCAN calculation of a relaxed structure of Na2H4Pd, from Materials Project.

abc: 4.942 4.942 4.942
angles: 115.51 115.51 97.97
Fractional positions:
Na (0.250, 0.750, 0.500)
Na (0.750, 0.250, 0.500)
H (0.220, 0.780, 0.000)
H (0.780, 0.220, 0.000)
H (0.220, 0.220, 0.440)
H (0.780, 0.780, 0.560)
Pd (0.000, 0.000, 0.000)

Values from the calculation:
As for the crystal system: tetragonal.

=====

The following is a meta-GGA r2SCAN calculation of a relaxed structure of Tb2NiGe4, from Materials Project.

abc: 4.023 4.079 8.467
angles: 76.11 90.00 90.00
Fractional positions:
Tb (0.750, 0.104, 0.791)
Tb (0.250, 0.890, 0.218)
Ge (0.750, 0.449, 0.099)
Ge (0.250, 0.257, 0.486)
Ge (0.750, 0.757, 0.488)
Ge (0.250, 0.545, 0.911)
Ni (0.250, 0.685, 0.630)

Values from the calculation:
As for the crystal system: monoclinic.

=====

The following is a meta-GGA r2SCAN calculation of a relaxed structure of Cs2ZrAg2Te4, from Materials Project.

abc: 8.407 8.407 6.618
angles: 90.00 90.00 133.61
Fractional positions:
Te (0.345, 0.137, 0.760)
Te (0.863, 0.655, 0.240)
Te (0.655, 0.863, 0.760)
Te (0.137, 0.345, 0.240)
Ag (0.000, 0.000, 0.500)
Ag (0.500, 0.500, 0.000)
Zr (0.000, 0.000, 0.000)
Cs (0.000, 0.500, 0.741)
Cs (0.500, 0.000, 0.259)

Values from the calculation:
As for the crystal system: orthorhombic.

=====

The following is a meta-GGA r2SCAN calculation of a relaxed structure of NaTe, from Materials Project.

abc: 9.165 9.920 15.936
angles: 90.00 90.00 90.00
Fractional positions:
Na (0.061, 0.819, 0.471)
Na (0.561, 0.181, 0.471)
Na (0.724, 0.014, 0.690)
Na (0.061, 0.319, 0.029)
Na (0.439, 0.819, 0.529)
Na (0.276, 0.486, 0.190)
Na (0.224, 0.986, 0.690)
Na (0.276, 0.986, 0.310)
Na (0.439, 0.319, 0.971)
Na (0.724, 0.514, 0.810)
Na (0.939, 0.181, 0.529)
Na (0.243, 0.829, 0.113)
Na (0.939, 0.681, 0.971)
Na (0.257, 0.329, 0.613)
Na (0.257, 0.829, 0.887)
Na (0.743, 0.671, 0.387)
Na (0.243, 0.329, 0.387)
Na (0.776, 0.014, 0.310)
Na (0.224, 0.486, 0.810)
Na (0.757, 0.171, 0.887)
Na (0.743, 0.171, 0.113)
Na (0.561, 0.681, 0.029)
Na (0.757, 0.671, 0.613)
Na (0.776, 0.514, 0.190)
Te (0.809, 0.360, 0.367)
Te (0.691, 0.360, 0.633)
Te (0.510, 0.246, 0.253)
Te (0.000, 0.500, 0.500)
Te (0.490, 0.754, 0.747)
Te (0.309, 0.640, 0.367)
Te (0.500, 0.000, 0.000)
Te (0.990, 0.746, 0.753)
Te (0.990, 0.246, 0.747)
Te (0.691, 0.860, 0.867)
Te (0.191, 0.140, 0.867)
Te (0.191, 0.640, 0.633)
Te (0.750, 0.428, 0.000)
Te (0.510, 0.746, 0.247)
Te (0.309, 0.140, 0.133)
Te (0.809, 0.860, 0.133)
Te (0.000, 0.000, 0.000)
Te (0.250, 0.072, 0.500)
Te (0.490, 0.254, 0.753)
Te (0.010, 0.254, 0.247)
Te (0.250, 0.572, 0.000)
Te (0.500, 0.500, 0.500)
Te (0.750, 0.928, 0.500)
Te (0.010, 0.754, 0.253)

Values from the calculation:
As for the crystal system: orthorhombic.

=====

The following is a meta-GGA r2SCAN calculation of a relaxed structure of Ho6MnBi2, from Materials Project.

abc: 8.193 8.193 4.383
angles: 90.00 90.00 120.00
Fractional positions:
Bi (0.667, 0.333, 0.000)
Bi (0.333, 0.667, 0.000)
Ho (0.000, 0.236, 0.000)
Ho (0.602, 0.000, 0.500)
Ho (0.000, 0.602, 0.500)
Ho (0.764, 0.764, 0.000)
Ho (0.236, 0.000, 0.000)
Ho (0.398, 0.398, 0.500)
Mn (0.000, 0.000, 0.500)

Values from the calculation:
As for the crystal system: hexagonal.

=====

The following is a meta-GGA r2SCAN calculation of a relaxed structure of Re2Cl5O4, from Materials Project.

abc: 5.865 6.062 7.830
angles: 69.80 79.66 85.28
Fractional positions:
O (0.490, 0.706, 0.561)
O (0.822, 0.803, 0.148)
O (0.113, 0.547, 0.472)
O (0.294, 0.275, 0.789)
Re (0.016, 0.995, 0.001)
Re (0.361, 0.463, 0.563)
Cl (0.970, 0.958, 0.726)
Cl (0.791, 0.333, 0.925)
Cl (0.343, 0.763, 0.994)
Cl (0.160, 0.129, 0.200)
Cl (0.598, 0.284, 0.399)

Values from the calculation:
As for the crystal system: triclinic. The polymorph energy (0 for the lowest one) is 0.0 meV/atom.

=====

ΔE_f, record by record: -1.87 -0.72 -0.32 -0.75 -0.96 -0.86 -0.55 -1.12 eV per atom
Size of the total moment, record by record: 4.0 2.1 0.0 0.0 0.0 0.0 1.1 1.0 μB per formula unit